The following is a PBE+U calculation of Li6FeSn3P6O24 after structural relaxation, from the Materials Project database.

```
data_Li6FeSn3P6O24
_cell_length_a 8.614
_cell_length_b 8.620
_cell_length_c 8.627
_cell_angle_alpha 64.34
_cell_angle_beta 64.47
_cell_angle_gamma 64.20
_symmetry_space_group_name_H-M 'P 1'
_symmetry_Int_Tables_number 1
loop_
_symmetry_equiv_pos_as_xyz
'x,y,z'
loop_
_atom_site_label
_atom_site_type_symbol
_atom_site_fract_x
_atom_site_fract_y
_atom_site_fract_z
Li1 Li 0.000 0.000 0.000
Li2 Li 0.058 0.512 0.941
Li3 Li 0.269 0.856 0.631
Li4 Li 0.529 0.694 0.294
Li5 Li 0.729 0.396 0.166
Li6 Li 0.883 0.164 0.472
Fe1 Fe 0.904 0.538 0.315
Sn1 Sn 0.081 0.712 0.496
Sn2 Sn 0.385 0.022 0.793
Sn3 Sn 0.599 0.232 0.008
P1 P 0.185 0.134 0.189
P2 P 0.326 0.632 0.086
P3 P 0.503 0.416 0.601
P4 P 0.674 0.956 0.410
P5 P 0.789 0.827 0.916
P6 P 0.997 0.311 0.729
O1 O 0.015 0.305 0.197
O2 O 0.065 0.441 0.741
O3 O 0.141 0.115 0.738
O4 O 0.155 0.577 0.148
O5 O 0.163 0.997 0.381
O6 O 0.196 0.063 0.043
O7 O 0.318 0.784 0.899
O8 O 0.342 0.698 0.215
O9 O 0.361 0.182 0.119
O10 O 0.362 0.608 0.578
O11 O 0.426 0.267 0.638
O12 O 0.485 0.954 0.558
O13 O 0.506 0.473 0.054
O14 O 0.576 0.364 0.758
O15 O 0.623 0.889 0.853
O16 O 0.647 0.136 0.251
O17 O 0.663 0.422 0.422
O18 O 0.739 0.788 0.351
O19 O 0.778 0.982 0.973
O20 O 0.784 0.652 0.080
O21 O 0.804 0.969 0.479
O22 O 0.846 0.275 0.916
O23 O 0.940 0.368 0.563
O24 O 0.976 0.787 0.773
```

---

The following is a PBE+U calculation of Li2Mn3O7 after structural relaxation, from the Materials Project database.

```
data_Li2Mn3O7
_cell_length_a 6.112
_cell_length_b 6.480
_cell_length_c 7.638
_cell_angle_alpha 103.77
_cell_angle_beta 111.67
_cell_angle_gamma 105.41
_symmetry_space_group_name_H-M 'P -1'
_symmetry_Int_Tables_number 2
loop_
_symmetry_equiv_pos_as_xyz
'x,y,z'
'-x,-y,-z'
loop_
_atom_site_label
_atom_site_type_symbol
_atom_site_fract_x
_atom_site_fract_y
_atom_site_fract_z
Li1 Li 0.212 0.345 0.031
Li2 Li 0.234 0.232 0.584
Mn1 Mn 0.142 0.644 0.721
Mn2 Mn 0.283 0.777 0.422
Mn3 Mn 0.419 0.922 0.141
O1 O 0.073 0.360 0.756
O2 O 0.087 0.793 0.931
O3 O 0.211 0.506 0.491
O4 O 0.216 0.916 0.645
O5 O 0.353 0.056 0.363
O6 O 0.389 0.672 0.228
O7 O 0.500 0.206 0.075
```

---

# PBE+U Sr2Co2O5, relaxed
# - Energy above the most stable polymorph in this dataset: 5 meV per atom
data_Sr2Co2O5
_cell_length_a 16.284
_cell_length_b 5.531
_cell_length_c 5.438
_cell_angle_alpha 90.00
_cell_angle_beta 90.00
_cell_angle_gamma 90.00
_symmetry_space_group_name_H-M 'I m a 2'
_symmetry_Int_Tables_number 46
loop_
_symmetry_equiv_pos_as_xyz
'x,y,z'
'-x,-y,z'
'-x+1/2,y,z'
'x+1/2,-y,z'
'x+1/2,y+1/2,z+1/2'
'-x+1/2,-y+1/2,z+1/2'
'-x,y+1/2,z+1/2'
'x,-y+1/2,z+1/2'
loop_
_atom_site_label
_atom_site_type_symbol
_atom_site_fract_x
_atom_site_fract_y
_atom_site_fract_z
Sr1 Sr 0.111 0.009 0.000
Co1 Co 0.000 0.000 0.498
Co2 Co 0.250 0.564 0.031
O1 O 0.004 0.749 0.250
O2 O 0.144 0.030 0.486
O3 O 0.250 0.619 0.384

---

# PBE+U Mn6O5F7, relaxed
# - Energy above the most stable polymorph in this dataset: 43 meV per atom
data_Mn6O5F7
_cell_length_a 4.716
_cell_length_b 5.754
_cell_length_c 15.635
_cell_angle_alpha 89.64
_cell_angle_beta 89.76
_cell_angle_gamma 86.84
_symmetry_space_group_name_H-M 'P 1'
_symmetry_Int_Tables_number 1
loop_
_symmetry_equiv_pos_as_xyz
'x,y,z'
loop_
_atom_site_label
_atom_site_type_symbol
_atom_site_fract_x
_atom_site_fract_y
_atom_site_fract_z
Mn1 Mn 0.000 0.000 0.000
Mn2 Mn 0.000 0.010 0.664
Mn3 Mn 0.010 0.724 0.832
Mn4 Mn 0.017 0.720 0.497
Mn5 Mn 0.021 0.043 0.341
Mn6 Mn 0.023 0.711 0.159
Mn7 Mn 0.466 0.527 0.988
Mn8 Mn 0.473 0.192 0.493
Mn9 Mn 0.485 0.186 0.833
Mn10 Mn 0.493 0.514 0.654
Mn11 Mn 0.498 0.507 0.323
Mn12 Mn 0.514 0.209 0.158
O1 O 0.211 0.965 0.892
O2 O 0.220 0.964 0.559
O3 O 0.222 0.744 0.052
O4 O 0.266 0.479 0.885
O5 O 0.272 0.473 0.547
O6 O 0.290 0.471 0.210
O7 O 0.299 0.253 0.384
O8 O 0.785 0.981 0.442
O9 O 0.786 0.978 0.108
O10 O 0.787 0.976 0.771
F1 F 0.251 0.749 0.721
F2 F 0.254 0.981 0.229
F3 F 0.262 0.753 0.386
F4 F 0.268 0.244 0.715
F5 F 0.274 0.241 0.053
F6 F 0.721 0.482 0.092
F7 F 0.723 0.231 0.600
F8 F 0.734 0.245 0.945
F9 F 0.743 0.481 0.769
F10 F 0.743 0.746 0.937
F11 F 0.756 0.242 0.262
F12 F 0.763 0.495 0.434
F13 F 0.773 0.744 0.611
F14 F 0.798 0.736 0.270

---

# PBE+U Li5Co3O8, relaxed
# - Energy above the most stable polymorph in this dataset: 55 meV per atom
data_Li5Co3O8
_cell_length_a 2.990
_cell_length_b 5.949
_cell_length_c 7.996
_cell_angle_alpha 90.92
_cell_angle_beta 90.21
_cell_angle_gamma 92.01
_symmetry_space_group_name_H-M 'P -1'
_symmetry_Int_Tables_number 2
loop_
_symmetry_equiv_pos_as_xyz
'x,y,z'
'-x,-y,-z'
loop_
_atom_site_label
_atom_site_type_symbol
_atom_site_fract_x
_atom_site_fract_y
_atom_site_fract_z
Li1 Li 0.000 0.000 0.000
Li2 Li 0.000 0.000 0.500
Li3 Li 0.000 0.500 0.000
Li4 Li 0.497 0.242 0.758
Co1 Co 0.000 0.500 0.500
Co2 Co 0.499 0.760 0.759
O1 O 0.029 0.016 0.250
O2 O 0.039 0.507 0.739
O3 O 0.493 0.262 0.480
O4 O 0.499 0.748 0.976

---

# PBE+U MgMn4O8, relaxed
# - Energy above the most stable polymorph in this dataset: 0 meV per atom
data_MgMn4O8
_cell_length_a 5.280
_cell_length_b 5.820
_cell_length_c 5.976
_cell_angle_alpha 62.40
_cell_angle_beta 89.56
_cell_angle_gamma 71.90
_symmetry_space_group_name_H-M 'P -1'
_symmetry_Int_Tables_number 2
loop_
_symmetry_equiv_pos_as_xyz
'x,y,z'
'-x,-y,-z'
loop_
_atom_site_label
_atom_site_type_symbol
_atom_site_fract_x
_atom_site_fract_y
_atom_site_fract_z
Mg1 Mg 0.000 0.000 0.000
Mn1 Mn 0.458 0.516 0.743
Mn2 Mn 0.498 0.002 0.746
O1 O 0.281 0.769 0.865
O2 O 0.284 0.219 0.903
O3 O 0.296 0.756 0.335
O4 O 0.319 0.233 0.393

---

Short version: ΔH_f (0 K) = -2484; -2012; -2140; -2397; -1679; -2070 meV per atom, in the order given.
Short version: E (MP2020) = -7.06; -7.51; -6.84; -7.57; -6.08; -8.06 eV per atom, in the order given.
Short version: energy = -0.4847; -0.4916; -0.4482; -0.4883; -0.3992; -0.5234 Ry per atom, in the order given.